Material: Nd2Re3B6
Method: DFT, PBE-GGA
State: optimized geometry

a b c (Å): 6.8140 10.6483 7.6251
angles (deg): 90.00 90.85 90.00
With the nearest neighbours (Å) after each atom.
Space group C2/c (No. 15)
Inequivalent atoms, fractional coordinates:
Nd 0.2329 0.1738 0.1746 (multiplicity 8)  9 B 2.75-3.02
Re 0.0000 0.0838 0.7500 (multiplicity 4)  8 B 2.26-2.41
Re 0.1036 0.4073 0.4127 (multiplicity 8)  6 B 2.13-2.31
B 0.1047 0.0456 0.4660 (multiplicity 8)  3 B 1.81-1.84
B 0.1274 0.2136 0.5197 (multiplicity 8)  2 B 1.84-1.87
B 0.1970 0.4544 0.1318 (multiplicity 8)  1 B 1.83

Material: NdB4Rh4
Method: DFT, PBE-GGA
State: optimized geometry

a b c (Å): 5.3764 5.3764 7.5500
angles (deg): 90.00 90.00 90.00
With the nearest neighbours (Å) after each atom.
Space group P4_2/nmc (No. 137, origin choice 2)
Inequivalent atoms, fractional coordinates:
Nd 0.2500 0.7500 0.2500 (multiplicity 2)  12 Rh 3.01-3.20, 12 B 3.06-3.18
B 0.0815 0.2500 0.0983 (multiplicity 8)  1 B 1.81
Rh 0.0013 0.7500 0.6068 (multiplicity 8)  5 B 2.23-2.27

Listing ΔH_f (0 K) for the structures above in their given order: -449, -543 meV/atom.
Listing total moment for the structures above in their given order: 0.00, 0.01 μB per cell.